Entry 1:
Entry from the Materials Project database: a geometry-optimized NiP3O9 structure (PBE+U).

Lattice parameters (Å, degrees): 8.4289 8.5671 8.7477 90.00 90.00 90.00
With the nearest neighbours (Å) after each atom.
Positions (direct):
Ni (0.1360, 0.1401, 0.1483)  6 O 1.99-2.17
Ni (0.3640, 0.8599, 0.6483)  6 O 1.99-2.17
Ni (0.6360, 0.3599, 0.8517)  6 O 1.99-2.17
Ni (0.8640, 0.6401, 0.3517)  6 O 1.99-2.17
P (0.0321, 0.6790, 0.6917)  4 O 1.50-1.61
P (0.1780, 0.5100, 0.1960)  4 O 1.50-1.61
P (0.2074, 0.1946, 0.5556)  4 O 1.49-1.62
P (0.2926, 0.8054, 0.0556)  4 O 1.49-1.62
P (0.3220, 0.4900, 0.6960)  4 O 1.50-1.61
P (0.4679, 0.3210, 0.1917)  4 O 1.50-1.61
P (0.5321, 0.8210, 0.3083)  4 O 1.50-1.61
P (0.6780, 0.9900, 0.8040)  4 O 1.50-1.61
P (0.7074, 0.3054, 0.4444)  4 O 1.49-1.62
P (0.7926, 0.6946, 0.9444)  4 O 1.49-1.62
P (0.8220, 0.0100, 0.3040)  4 O 1.50-1.61
P (0.9679, 0.1790, 0.8083)  4 O 1.50-1.61
O (0.0432, 0.2254, 0.6470)  2 P 1.60-1.62
O (0.0932, 0.3721, 0.1278)  1 P 1.50
O (0.0964, 0.1250, 0.9145)  1 P 1.50
O (0.1005, 0.5923, 0.3282)  1 P 1.50
O (0.1317, 0.8121, 0.6310)  1 P 1.51
O (0.1444, 0.5371, 0.7467)  2 P 1.61
O (0.1671, 0.1604, 0.3932)  1 P 1.49
O (0.1861, 0.9127, 0.1457)  1 P 1.51
O (0.2133, 0.6339, 0.0618)  2 P 1.61
O (0.2867, 0.3661, 0.5618)  2 P 1.61
O (0.3139, 0.0873, 0.6457)  1 P 1.51
O (0.3329, 0.8396, 0.8932)  1 P 1.49
O (0.3556, 0.4629, 0.2467)  2 P 1.61
O (0.3683, 0.1879, 0.1310)  1 P 1.51
O (0.3995, 0.4077, 0.8282)  1 P 1.50
O (0.4036, 0.8750, 0.4145)  1 P 1.50
O (0.4068, 0.6279, 0.6278)  1 P 1.50
O (0.4568, 0.7746, 0.1470)  2 P 1.60-1.62
O (0.5432, 0.2746, 0.3530)  2 P 1.60-1.62
O (0.5932, 0.1279, 0.8722)  1 P 1.50
O (0.5964, 0.3750, 0.0855)  1 P 1.50
O (0.6005, 0.9077, 0.6718)  1 P 1.50
O (0.6317, 0.6879, 0.3690)  1 P 1.51
O (0.6444, 0.9629, 0.2533)  2 P 1.61
O (0.6671, 0.3396, 0.6068)  1 P 1.49
O (0.6861, 0.5873, 0.8543)  1 P 1.51
O (0.7133, 0.8661, 0.9382)  2 P 1.61
O (0.7867, 0.1339, 0.4382)  2 P 1.61
O (0.8139, 0.4127, 0.3543)  1 P 1.51
O (0.8329, 0.6604, 0.1068)  1 P 1.49
O (0.8556, 0.0371, 0.7533)  2 P 1.61
O (0.8683, 0.3121, 0.8690)  1 P 1.51
O (0.8995, 0.0923, 0.1718)  1 P 1.50
O (0.9036, 0.6250, 0.5855)  1 P 1.50
O (0.9068, 0.8721, 0.3722)  1 P 1.50
O (0.9568, 0.7254, 0.8530)  2 P 1.60-1.62

Summary:
Energy relative to the elements: -2241.7 meV/atom
Distance to the lowest polymorph of the same formula: 31 meV per atom
Corrected total energy (MP2020 scheme): -7.361 eV/atom

---

Entry 2:
Entry from the Materials Project database: a geometry-optimized NiP2O7 structure (PBE+U).

Lattice parameters (Å, degrees): 5.2946 5.2946 4.6195 97.97 97.97 101.10
With the nearest neighbours (Å) after each atom.
Positions (direct):
Ni (0.0000, 0.0000, 0.0000)  6 O 2.04-2.07
P (0.4514, 0.1447, 0.5875)  4 O 1.52-1.60
P (0.8553, 0.5486, 0.4125)  4 O 1.52-1.60
O (0.0347, 0.6943, 0.6993)  1 P 1.53
O (0.2674, 0.2211, 0.7972)  1 P 1.53
O (0.3057, 0.9653, 0.3007)  1 P 1.53
O (0.5838, 0.4162, 0.5000)  2 P 1.60
O (0.6599, 0.0220, 0.7391)  1 P 1.52
O (0.7789, 0.7326, 0.2028)  1 P 1.53
O (0.9780, 0.3401, 0.2609)  1 P 1.52

Summary:
Energy relative to the elements: -1963.1 meV/atom
Distance to the lowest polymorph of the same formula: 35 meV per atom
Corrected total energy (MP2020 scheme): -7.087 eV/atom

---

Entry 3:
Entry from the Materials Project database: a geometry-optimized NiP2O7 structure (PBE+U).

Lattice parameters (Å, degrees): 6.3800 9.6045 10.8049 64.31 80.94 74.42
With the nearest neighbours (Å) after each atom.
Positions (direct):
Ni (0.0000, 0.0000, 0.0000)  6 O 1.96-2.11
Ni (0.0739, 0.3542, 0.0254)  6 O 1.94-2.08
Ni (0.6566, 0.1228, 0.4751)  6 O 1.94-2.11
Ni (0.7316, 0.4853, 0.5024)  6 O 2.01-2.18
P (0.0862, 0.0154, 0.2814)  4 O 1.52-1.61
P (0.2464, 0.3831, 0.5562)  4 O 1.51-1.61
P (0.2626, 0.6346, 0.0405)  4 O 1.52-1.63
P (0.4591, 0.8479, 0.4585)  4 O 1.51-1.63
P (0.4787, 0.0920, 0.9536)  4 O 1.53-1.62
P (0.6384, 0.4667, 0.2176)  4 O 1.50-1.61
P (0.7775, 0.0890, 0.7144)  4 O 1.51-1.60
P (0.9419, 0.3894, 0.7932)  4 O 1.50-1.60
O (0.0545, 0.4752, 0.4631)  1 P 1.53
O (0.0682, 0.7659, 0.0435)  1 P 1.52
O (0.1549, 0.3286, 0.7137)  2 P 1.60-1.61
O (0.1560, 0.1754, 0.2014)  1 P 1.55
O (0.2143, 0.4744, 0.0789)  1 P 1.52
O (0.3045, 0.8812, 0.3376)  2 P 1.61-1.63
O (0.3163, 0.9876, 0.9809)  1 P 1.54
O (0.3413, 0.7755, 0.5991)  1 P 1.54
O (0.3543, 0.2275, 0.5428)  1 P 1.53
O (0.3768, 0.2479, 0.9674)  1 P 1.53
O (0.3792, 0.7001, 0.8986)  1 P 1.53
O (0.4085, 0.4821, 0.5350)  1 P 1.51
O (0.4204, 0.5998, 0.1600)  2 P 1.61-1.63
O (0.5016, 0.0085, 0.4237)  1 P 1.51
O (0.5589, 0.1448, 0.7927)  2 P 1.60-1.62
O (0.5708, 0.3059, 0.2987)  1 P 1.55
O (0.6575, 0.7191, 0.4562)  1 P 1.52
O (0.6829, 0.9953, 0.0356)  1 P 1.53
O (0.7342, 0.5175, 0.3051)  1 P 1.50
O (0.7365, 0.9678, 0.6677)  1 P 1.55
O (0.7490, 0.4431, 0.7070)  1 P 1.50
O (0.7774, 0.4476, 0.0949)  1 P 1.53
O (0.7883, 0.2294, 0.5699)  1 P 1.57
O (0.9355, 0.2473, 0.9379)  1 P 1.57
O (0.9465, 0.0282, 0.4052)  1 P 1.52
O (0.9679, 0.0404, 0.8031)  1 P 1.51
O (0.9888, 0.9623, 0.1942)  1 P 1.52
O (0.9934, 0.5090, 0.8382)  1 P 1.55

Summary:
Energy relative to the elements: -1980.1 meV/atom
Distance to the lowest polymorph of the same formula: 18 meV per atom
Corrected total energy (MP2020 scheme): -7.104 eV/atom